Entry 1:
BaCa3Zr16P24O96: optimized geometry, PBE.

Properties
* space group: P-1
* crystal system: triclinic
* energy with MP2020 corrections: -8.605 eV per atom
* VASP energy: -8.1336 eV/atom
* calculated density: 3.1 g/cm3
* ΔH_f (0 K): -314 kJ per mole of atoms

Unit cell a=8.936 b=15.686 c=16.299 alpha=101.96 beta=90.00 gamma=106.55
Sites, in units of the cell vectors:
O 0.603 0.867 0.809
O 0.591 0.037 0.642
O 0.636 0.902 0.314
O 0.934 0.243 0.829
O 0.324 0.956 0.102
O 0.829 0.775 0.250
O 0.600 0.497 0.295
O 0.409 0.569 0.576
O 0.755 0.196 0.553
O 0.908 0.503 0.207
O 0.103 0.867 0.309
O 0.341 0.931 0.674
O 0.009 0.904 0.497
O 0.256 0.630 0.108
O 0.495 0.303 0.197
O 0.151 0.003 0.956
O 0.566 0.758 0.670
O 0.849 0.997 0.044
O 0.171 0.225 0.750
O 0.654 0.639 0.933
O 0.004 0.132 0.358
O 0.841 0.537 0.393
O 0.979 0.710 0.718
O 0.505 0.697 0.803
O 0.816 0.257 0.420
O 0.251 0.192 0.052
O 0.421 0.725 0.499
O 0.671 0.224 0.249
O 0.906 0.568 0.077
O 0.508 0.904 0.997
O 0.841 0.931 0.173
O 0.749 0.808 0.948
O 0.761 0.401 0.745
O 0.651 0.003 0.456
O 0.148 0.633 0.441
O 0.074 0.456 0.353
O 0.743 0.596 0.752
O 0.771 0.790 0.532
O 0.112 0.598 0.936
O 0.004 0.696 0.303
O 0.824 0.956 0.602
O 0.329 0.776 0.751
O 0.591 0.431 0.424
O 0.991 0.096 0.503
O 0.239 0.599 0.255
O 0.676 0.044 0.898
O 0.888 0.402 0.064
O 0.852 0.367 0.559
O 0.159 0.069 0.827
O 0.176 0.044 0.398
O 0.271 0.790 0.032
O 0.424 0.544 0.158
O 0.092 0.497 0.793
O 0.184 0.743 0.580
O 0.077 0.274 0.000
O 0.094 0.432 0.923
O 0.434 0.242 0.330
O 0.091 0.037 0.143
O 0.492 0.096 0.003
O 0.317 0.259 0.922
O 0.576 0.456 0.842
O 0.229 0.210 0.468
O 0.400 0.503 0.705
O 0.364 0.098 0.686
O 0.245 0.804 0.447
O 0.397 0.133 0.191
O 0.021 0.290 0.282
O 0.923 0.726 0.000
O 0.386 0.401 0.564
O 0.744 0.370 0.892
O 0.683 0.741 0.078
O 0.522 0.289 0.781
O 0.478 0.711 0.219
O 0.066 0.757 0.171
O 0.246 0.368 0.393
O 0.504 0.132 0.858
O 0.659 0.069 0.326
O 0.496 0.868 0.142
O 0.909 0.963 0.857
O 0.864 0.098 0.186
O 0.996 0.304 0.697
O 0.729 0.210 0.968
O 0.159 0.463 0.607
O 0.409 0.963 0.358
O 0.337 0.541 0.884
O 0.579 0.275 0.501
O 0.663 0.459 0.116
O 0.897 0.133 0.691
O 0.996 0.868 0.642
O 0.346 0.361 0.067
O 0.614 0.599 0.436
O 0.136 0.902 0.814
O 0.926 0.544 0.647
O 0.257 0.404 0.248
O 0.349 0.997 0.544
O 0.754 0.632 0.607
P 0.341 0.484 0.612
P 0.499 0.774 0.757
P 0.401 0.878 0.068
P 0.348 0.623 0.185
P 0.850 0.622 0.681
P 0.156 0.516 0.885
P 0.652 0.377 0.815
P 0.591 0.985 0.363
P 0.599 0.122 0.932
P 0.091 0.984 0.863
P 0.844 0.484 0.115
P 0.659 0.516 0.388
P 0.246 0.271 0.009
P 0.099 0.122 0.432
P 0.909 0.016 0.137
P 0.999 0.773 0.257
P 0.749 0.273 0.507
P 0.754 0.729 0.991
P 0.901 0.878 0.568
P 0.501 0.226 0.243
P 0.251 0.727 0.493
P 0.001 0.227 0.743
P 0.150 0.378 0.319
P 0.409 0.015 0.637
Zr 0.037 0.575 0.315
Zr 0.590 0.680 0.550
Zr 0.660 0.821 0.200
Zr 0.287 0.073 0.064
Zr 0.787 0.075 0.563
Zr 0.090 0.680 0.051
Zr 0.213 0.925 0.437
Zr 0.340 0.179 0.800
Zr 0.538 0.576 0.811
Zr 0.963 0.425 0.685
Zr 0.713 0.927 0.936
Zr 0.910 0.320 0.949
Zr 0.160 0.820 0.700
Zr 0.840 0.180 0.300
Zr 0.410 0.320 0.450
Zr 0.462 0.424 0.189
Ba 0.500 0.500 0.000
Ca 0.000 0.500 0.500
Ca 0.750 0.000 0.750
Ca 0.250 0.000 0.250

Entry 2:
BaCaZr8P12O48: optimized geometry, PBE.

Properties
* space group: P-1
* crystal system: triclinic
* energy with MP2020 corrections: -8.607 eV per atom
* VASP energy: -8.1354 eV/atom
* calculated density: 3.2 g/cm3
* ΔH_f (0 K): -314 kJ per mole of atoms

Unit cell a=8.918 b=9.363 c=12.929 alpha=93.82 beta=90.00 gamma=90.01
Sites, in units of the cell vectors:
O 0.560 0.781 0.696
O 0.190 0.583 0.672
O 0.627 0.971 0.888
O 0.097 0.081 0.832
O 0.812 0.603 0.191
O 0.312 0.910 0.828
O 0.912 0.298 0.708
O 0.938 0.292 0.514
O 0.921 0.741 0.991
O 0.188 0.397 0.809
O 0.903 0.919 0.168
O 0.317 0.677 0.403
O 0.810 0.835 0.614
O 0.079 0.259 0.009
O 0.600 0.201 0.796
O 0.869 0.524 0.613
O 0.372 0.601 0.824
O 0.400 0.799 0.204
O 0.904 0.491 0.901
O 0.628 0.399 0.176
O 0.305 0.105 0.701
O 0.695 0.895 0.299
O 0.875 0.101 0.321
O 0.940 0.711 0.799
O 0.599 0.011 0.606
O 0.096 0.509 0.099
O 0.565 0.207 0.988
O 0.060 0.289 0.201
O 0.373 0.029 0.112
O 0.585 0.776 0.502
O 0.692 0.664 0.886
O 0.683 0.323 0.597
O 0.131 0.476 0.387
O 0.823 0.160 0.912
O 0.688 0.090 0.172
O 0.435 0.793 0.012
O 0.600 0.593 0.319
O 0.415 0.224 0.498
O 0.810 0.417 0.328
O 0.088 0.702 0.292
O 0.308 0.336 0.114
O 0.177 0.840 0.088
O 0.125 0.899 0.679
O 0.440 0.219 0.304
O 0.401 0.989 0.394
O 0.400 0.407 0.681
O 0.062 0.708 0.486
O 0.190 0.165 0.386
P 0.639 0.851 0.606
P 0.349 0.866 0.104
P 0.361 0.149 0.394
P 0.211 0.997 0.759
P 0.147 0.640 0.392
P 0.285 0.499 0.747
P 0.137 0.349 0.107
P 0.853 0.360 0.608
P 0.651 0.134 0.896
P 0.789 0.003 0.241
P 0.863 0.651 0.893
P 0.715 0.501 0.253
Ba 0.500 0.500 0.500
Zr 0.000 0.284 0.359
Zr 0.499 0.199 0.654
Zr 0.001 0.703 0.146
Zr 0.500 0.218 0.142
Zr 0.500 0.782 0.858
Zr 0.999 0.297 0.854
Zr 0.501 0.801 0.346
Zr 0.000 0.716 0.641
Ca 0.000 0.000 0.000

Entry 3:
Ba2CaPd3O6: optimized geometry, PBE.

Properties
* space group: P1
* crystal system: triclinic
* energy with MP2020 corrections: -6.258 eV per atom
* VASP energy: -5.9143 eV/atom
* calculated density: 6.2 g/cm3
* offset from the most stable computed form: 17 meV/atom
* ΔH_f (0 K): -193 kJ per mole of atoms

Unit cell a=9.576 b=8.822 c=7.312 alpha=72.13 beta=61.26 gamma=46.61
Sites, in units of the cell vectors:
Pd 0.324 0.672 0.671
Pd 0.689 0.010 0.314
Pd 0.675 0.322 0.332
Pd 0.007 0.695 0.994
Pd 0.993 0.308 0.001
Pd 0.317 0.987 0.687
O 0.916 0.695 0.315
O 0.307 0.085 0.926
O 0.467 0.324 0.301
O 0.091 0.699 0.677
O 0.327 0.474 0.909
O 0.527 0.670 0.708
O 0.695 0.100 0.536
O 0.296 0.906 0.463
O 0.907 0.301 0.330
O 0.681 0.925 0.085
O 0.675 0.533 0.087
O 0.072 0.314 0.689
Ba 0.231 0.764 0.239
Ba 0.762 0.236 0.765
Ba 0.748 0.753 0.744
Ba 0.245 0.248 0.254
Ca 0.327 0.326 0.676
Ca 0.673 0.675 0.325

Entry 4:
Ba2CaPd3O6: optimized geometry, PBE.

Properties
* space group: Fmmm
* crystal system: orthorhombic
* energy with MP2020 corrections: -6.275 eV per atom
* VASP energy: -5.9314 eV/atom
* calculated density: 6.2 g/cm3
* offset from the most stable computed form: 0 meV/atom
* ΔH_f (0 K): -195 kJ per mole of atoms

Unit cell a=9.576 b=8.822 c=7.312 alpha=72.13 beta=61.26 gamma=46.61
Sites, in units of the cell vectors:
O 0.297 0.906 0.469
O 0.078 0.313 0.687
O 0.094 0.703 0.672
O 0.906 0.297 0.328
O 0.469 0.328 0.297
O 0.922 0.687 0.313
O 0.672 0.531 0.094
O 0.687 0.922 0.078
O 0.531 0.672 0.703
O 0.703 0.094 0.531
O 0.328 0.469 0.906
O 0.313 0.078 0.922
Pd 0.690 0.006 0.310
Pd 0.310 0.994 0.690
Pd 0.325 0.675 0.675
Pd 0.994 0.310 0.006
Pd 0.006 0.690 0.994
Pd 0.675 0.325 0.325
Ba 0.250 0.250 0.250
Ba 0.750 0.750 0.750
Ba 0.233 0.767 0.233
Ba 0.767 0.233 0.767
Ca 0.329 0.329 0.671
Ca 0.671 0.671 0.329

Q: energy with MP2020 corrections of number 4 (Ba2CaPd3O6)?
A: -6.275 eV per atom